(1)
In14Sn5S26 | PBE-GGA | relaxed

Cell lengths 38.3205, 3.9015, 13.8822 Å; angles 90.00, 90.93, 90.00 degrees
With the nearest neighbours (Å) after each atom.
Space group Cm (No. 8)
One atom of each set of equivalent atoms:
In  0.0000  0.0000  0.0000 [2 per cell]  6 S 2.53-2.81
In  0.0002  0.0000  0.4993 [2 per cell]  6 S 2.56-2.73
In  0.0419  0.5000  0.7913 [2 per cell]  6 S 2.63-2.73
In  0.0869  0.5000  0.4905 [2 per cell]  6 S 2.56-2.76
In  0.1049  0.0000  0.9638 [2 per cell]  6 S 2.52-2.82
In  0.1686  0.0000  0.4321 [2 per cell]  4 S 2.50-2.60
In  0.2205  0.5000  0.9127 [2 per cell]  6 S 2.54-2.76
In  0.2497  0.0000  0.6210 [2 per cell]  6 S 2.60-2.74
In  0.2559  0.5000  0.3676 [2 per cell]  5 S 2.58-2.69
In  0.2833  0.0000  0.0970 [2 per cell]  6 S 2.55-2.83
In  0.3362  0.5000  0.5673 [2 per cell]  4 S 2.51-2.59
In  0.3958  0.5000  0.0391 [2 per cell]  4 S 2.50-2.57
In  0.4124  0.0000  0.5009 [2 per cell]  6 S 2.61-2.76
In  0.4589  0.0000  0.2074 [2 per cell]  6 S 2.58-2.76
Sn  0.0689  0.5000  0.2226 [2 per cell]  7 S 2.85-3.12
Sn  0.1527  0.5000  0.7172 [2 per cell]  7 S 2.91-3.24
Sn  0.1705  0.5000  0.1440 [2 per cell]  5 S 2.82-2.98
Sn  0.3326  0.0000  0.8562 [2 per cell]  5 S 2.70-2.97
Sn  0.4309  0.0000  0.7692 [2 per cell]  5 S 2.82-3.05
S  0.0082  0.0000  0.1811 [2 per cell]  3 In 2.53-2.74
S  0.0341  0.5000  0.6013 [2 per cell]  4 In 2.56-2.73
S  0.0524  0.5000  0.9865 [2 per cell]  5 In 2.73-2.82
S  0.0559  0.0000  0.3933 [2 per cell]  3 In 2.61-2.64
S  0.0902  0.0000  0.7859 [2 per cell]  3 In 2.52-2.69
S  0.1151  0.0000  0.1452 [2 per cell]  1 In 2.54
S  0.1279  0.0000  0.5763 [2 per cell]  3 In 2.56-2.76
S  0.1332  0.5000  0.3545 [2 per cell]  3 In 2.60-2.61
S  0.1498  0.5000  0.9479 [2 per cell]  3 In 2.61-2.76, 1 Sn 2.82
S  0.2083  0.0000  0.7799 [2 per cell]  3 In 2.72-2.74, 2 Sn 3.01
S  0.2088  0.5000  0.5405 [2 per cell]  5 In 2.73-3.03
S  0.2149  0.0000  0.3076 [2 per cell]  3 In 2.50-2.63
S  0.2168  0.0000  0.0469 [2 per cell]  3 In 2.63-2.70
S  0.2856  0.5000  0.9498 [2 per cell]  3 In 2.54-2.83
S  0.2873  0.5000  0.6898 [2 per cell]  3 In 2.55-2.60
S  0.2889  0.0000  0.4663 [2 per cell]  3 In 2.64-2.69
S  0.2924  0.5000  0.2135 [2 per cell]  3 In 2.55-2.58
S  0.3521  0.0000  0.0442 [2 per cell]  3 In 2.57-2.75, 1 Sn 2.70
S  0.3692  0.0000  0.6515 [2 per cell]  3 In 2.59-2.69, 1 Sn 2.85
S  0.3758  0.5000  0.4254 [2 per cell]  3 In 2.51-2.61
S  0.3886  0.5000  0.8560 [2 per cell]  1 In 2.55, 2 Sn 2.82
S  0.4149  0.5000  0.2119 [2 per cell]  3 In 2.50-2.58
S  0.4465  0.5000  0.6069 [2 per cell]  3 In 2.56-2.76
S  0.4525  0.0000  0.0088 [2 per cell]  5 In 2.67-2.96
S  0.4697  0.0000  0.3983 [2 per cell]  4 In 2.64-2.68
S  0.4969  0.5000  0.8172 [2 per cell]  3 In 2.54-2.63

Values from the calculation:
The formation energy from the elements comes out at -0.703 eV per atom. The value obtained for the final energy is -369.313 eV per cell.

=====

(2)
Na2TlCuF6 | PBE-GGA | relaxed

Cell lengths 8.6466, 8.6466, 8.6466 Å; angles 90.00, 90.00, 90.00 degrees
With the nearest neighbours (Å) after each atom.
Space group Fm-3m (No. 225)
One atom of each set of equivalent atoms:
Na  0.2500  0.2500  0.2500 [8 per cell]  12 F 3.06
Tl  0.0000  0.0000  0.0000 [4 per cell]  6 F 2.29
Cu  0.0000  0.0000  0.5000 [4 per cell]  6 F 2.04
F  0.0000  0.0000  0.2646 [24 per cell]  1 Cu 2.04

Values from the calculation:
The formation energy from the elements comes out at -2.222 eV per atom. The value obtained for the final energy is -160.167 eV per cell.

=====

(3)
Lu4C7 | PBE-GGA | relaxed

Cell lengths 3.6046, 13.5303, 6.2911 Å; angles 90.00, 105.30, 90.00 degrees
With the nearest neighbours (Å) after each atom.
Space group P2_1/c (No. 14)
One atom of each set of equivalent atoms:
Lu  0.0569  0.1599  0.1602 [4 per cell]  7 C 2.37-2.60
Lu  0.3655  0.0542  0.7401 [4 per cell]  6 C 2.43-2.61
C  0.0000  0.0000  0.0000 [2 per cell]  6 Lu 2.37-2.54
C  0.2679  0.6035  0.0502 [4 per cell]  1 C 1.33
C  0.3778  0.6975  0.0448 [4 per cell]  2 C 1.32-1.33
C  0.4625  0.2138  0.9239 [4 per cell]  1 C 1.32

Values from the calculation:
The formation energy from the elements comes out at -0.325 eV per atom. The value obtained for the final energy is -172.508 eV per cell.

=====

(4)
K7VN4 | PBE-GGA | relaxed

Cell lengths 12.8382, 12.8382, 12.8382 Å; angles 90.00, 90.00, 90.00 degrees
With the nearest neighbours (Å) after each atom.
Space group Pa-3 (No. 205)
One atom of each set of equivalent atoms:
K  0.0790  0.1750  0.8763 [24 per cell]  2 N 2.64-2.89
K  0.0847  0.1274  0.6431 [24 per cell]  2 N 2.61-2.63
K  0.1249  0.1249  0.1249 [8 per cell]  4 N 2.87-3.04
V  0.1625  0.6625  0.8375 [8 per cell]  4 N 1.86-1.90
N  0.0690  0.7453  0.9172 [24 per cell]  1 V 1.90
N  0.2462  0.7462  0.7538 [8 per cell]  1 V 1.86

Values from the calculation:
The formation energy from the elements comes out at -0.064 eV per atom. The value obtained for the final energy is -396.184 eV per cell.

=====

(5)
Na3Ca2Ta10Si3P15O72 | PBE-GGA | relaxed

Cell lengths 8.8473, 8.8499, 22.8674 Å; angles 89.89, 89.87, 60.02 degrees
With the nearest neighbours (Å) after each atom.
Space group P1 (No. 1)
One atom of each set of equivalent atoms:
Na  0.0000  0.0000  0.0000 [1 per cell]  3 O 2.41-2.42
Na  0.0000  0.0002  0.4985 [1 per cell]  3 O 2.42-2.43
Na  0.3340  0.3336  0.6618 [1 per cell]  6 O 2.65-2.69
Ca  0.0006  0.0003  0.1366 [1 per cell]  6 O 2.21-2.28
Ca  0.0008  0.9991  0.6371 [1 per cell]  6 O 2.21-2.31
Ta  0.0012  0.0001  0.3429 [1 per cell]  6 O 1.95-2.09
Ta  0.0006  0.0002  0.8460 [1 per cell]  6 O 1.93-2.05
Ta  0.3267  0.3370  0.0172 [1 per cell]  6 O 1.95-2.10
Ta  0.3302  0.3365  0.8090 [1 per cell]  6 O 1.89-2.03
Ta  0.3308  0.3307  0.5141 [1 per cell]  6 O 1.91-2.04
Ta  0.3336  0.3289  0.3044 [1 per cell]  6 O 1.92-2.05
Ta  0.6651  0.6662  0.9654 [1 per cell]  6 O 1.92-2.01
Ta  0.6647  0.6671  0.4660 [1 per cell]  6 O 1.92-2.01
Ta  0.6646  0.6676  0.1798 [1 per cell]  6 O 1.98-2.02
Ta  0.6658  0.6657  0.6832 [1 per cell]  6 O 1.96-2.05
Si  0.0487  0.3277  0.9112 [1 per cell]  4 O 1.62-1.64
Si  0.3253  0.0481  0.4093 [1 per cell]  4 O 1.61-1.65
Si  0.3265  0.6225  0.9106 [1 per cell]  4 O 1.62-1.64
P  0.0030  0.7047  0.7416 [1 per cell]  4 O 1.50-1.58
P  0.0500  0.6215  0.4093 [1 per cell]  4 O 1.52-1.56
P  0.2914  0.0040  0.7417 [1 per cell]  4 O 1.50-1.58
P  0.2930  0.7062  0.2418 [1 per cell]  4 O 1.48-1.60
P  0.3881  0.9521  0.0724 [1 per cell]  4 O 1.50-1.58
P  0.3888  0.6587  0.5729 [1 per cell]  4 O 1.50-1.57
P  0.6193  0.0522  0.9104 [1 per cell]  4 O 1.53-1.55
P  0.6207  0.3271  0.4091 [1 per cell]  4 O 1.52-1.56
P  0.6602  0.3878  0.0724 [1 per cell]  4 O 1.50-1.58
P  0.6603  0.9502  0.5728 [1 per cell]  4 O 1.50-1.59
P  0.7041  0.2900  0.7413 [1 per cell]  4 O 1.50-1.58
P  0.7077  0.9984  0.2417 [1 per cell]  4 O 1.48-1.59
P  0.9491  0.6626  0.0726 [1 per cell]  4 O 1.50-1.58
P  0.9504  0.3892  0.5730 [1 per cell]  4 O 1.50-1.59
P  0.9976  0.2950  0.2416 [1 per cell]  4 O 1.48-1.60
O  0.0230  0.1598  0.8979 [1 per cell]  1 Si 1.64
O  0.0259  0.8057  0.4001 [1 per cell]  1 P 1.55
O  0.0480  0.7636  0.6861 [1 per cell]  1 P 1.50
O  0.0493  0.1834  0.1888 [1 per cell]  1 P 1.48
O  0.1284  0.4886  0.0673 [1 per cell]  1 P 1.57
O  0.1331  0.3817  0.5678 [1 per cell]  1 P 1.59
O  0.1364  0.5061  0.3564 [1 per cell]  1 P 1.52
O  0.1423  0.3545  0.8539 [1 per cell]  1 Si 1.63
O  0.1480  0.3291  0.2599 [1 per cell]  1 P 1.56
O  0.1535  0.0277  0.3992 [1 per cell]  1 Si 1.64
O  0.1533  0.8124  0.8976 [1 per cell]  1 Si 1.64
O  0.1547  0.5159  0.7549 [1 per cell]  1 P 1.56
O  0.1665  0.5372  0.4643 [1 per cell]  1 P 1.56
O  0.1755  0.2906  0.9673 [1 per cell]  1 Si 1.63
O  0.1827  0.7676  0.1887 [1 per cell]  1 P 1.48
O  0.1864  0.0495  0.6867 [1 per cell]  1 P 1.50
O  0.1979  0.8327  0.2962 [1 per cell]  1 P 1.60
O  0.1982  0.9735  0.7951 [1 per cell]  1 P 1.57
O  0.2096  0.9725  0.0728 [1 per cell]  1 P 1.50
O  0.2108  0.8176  0.5716 [1 per cell]  1 P 1.50
O  0.2950  0.5287  0.9668 [1 per cell]  1 Si 1.63
O  0.2961  0.1732  0.4666 [1 per cell]  1 Si 1.65
O  0.3246  0.5247  0.2612 [1 per cell]  1 P 1.55
O  0.3317  0.1514  0.7560 [1 per cell]  1 P 1.55
O  0.3555  0.1442  0.3545 [1 per cell]  1 Si 1.61
O  0.3600  0.4999  0.8536 [1 per cell]  1 Si 1.63
O  0.3790  0.4866  0.5672 [1 per cell]  1 P 1.57
O  0.3843  0.1291  0.0666 [1 per cell]  1 P 1.56
O  0.4733  0.8331  0.7326 [1 per cell]  1 P 1.58
O  0.4740  0.6924  0.2337 [1 per cell]  1 P 1.55
O  0.4877  0.1343  0.5671 [1 per cell]  1 P 1.59
O  0.4880  0.8418  0.0188 [1 per cell]  1 P 1.54
O  0.4898  0.3793  0.0661 [1 per cell]  1 P 1.55
O  0.4906  0.6643  0.5181 [1 per cell]  1 P 1.56
O  0.4924  0.6504  0.9194 [1 per cell]  1 Si 1.62
O  0.4959  0.8562  0.4194 [1 per cell]  1 Si 1.63
O  0.4964  0.8595  0.1292 [1 per cell]  1 P 1.58
O  0.4972  0.6399  0.6289 [1 per cell]  1 P 1.56
O  0.5037  0.3612  0.3561 [1 per cell]  1 P 1.52
O  0.5053  0.1351  0.8557 [1 per cell]  1 P 1.54
O  0.5171  0.3252  0.7546 [1 per cell]  1 P 1.55
O  0.5240  0.1533  0.2591 [1 per cell]  1 P 1.57
O  0.5328  0.2997  0.4642 [1 per cell]  1 P 1.56
O  0.5381  0.1683  0.9642 [1 per cell]  1 P 1.53
O  0.6388  0.8629  0.6290 [1 per cell]  1 P 1.56
O  0.6416  0.4978  0.1291 [1 per cell]  1 P 1.58
O  0.6420  0.8697  0.9187 [1 per cell]  1 P 1.54
O  0.6466  0.4855  0.4191 [1 per cell]  1 P 1.55
O  0.6667  0.8431  0.5182 [1 per cell]  1 P 1.55
O  0.6709  0.4890  0.0186 [1 per cell]  1 P 1.55
O  0.6890  0.4742  0.7324 [1 per cell]  1 P 1.58
O  0.6888  0.8342  0.2335 [1 per cell]  1 P 1.56
O  0.7656  0.1872  0.6858 [1 per cell]  1 P 1.50
O  0.7696  0.0464  0.1884 [1 per cell]  1 P 1.48
O  0.8020  0.0305  0.8982 [1 per cell]  1 P 1.55
O  0.8018  0.1628  0.4000 [1 per cell]  1 P 1.55
O  0.8178  0.9718  0.5716 [1 per cell]  1 P 1.50
O  0.8201  0.2107  0.0727 [1 per cell]  1 P 1.50
O  0.8251  0.1993  0.7947 [1 per cell]  1 P 1.56
O  0.8297  0.9686  0.2963 [1 per cell]  1 P 1.59
O  0.8310  0.4756  0.2336 [1 per cell]  1 P 1.55
O  0.8345  0.6891  0.7323 [1 per cell]  1 P 1.58
O  0.8398  0.6732  0.0190 [1 per cell]  1 P 1.54
O  0.8452  0.4885  0.5183 [1 per cell]  1 P 1.54
O  0.8590  0.4994  0.9195 [1 per cell]  1 Si 1.62
O  0.8586  0.6438  0.1295 [1 per cell]  1 P 1.58
O  0.8614  0.4974  0.6291 [1 per cell]  1 P 1.56
O  0.8686  0.6401  0.4191 [1 per cell]  1 P 1.55
O  0.9674  0.2003  0.2962 [1 per cell]  1 P 1.60
O  0.9720  0.8257  0.7948 [1 per cell]  1 P 1.55
O  0.9725  0.8187  0.0731 [1 per cell]  1 P 1.50
O  0.9747  0.2091  0.5722 [1 per cell]  1 P 1.50

Values from the calculation:
The formation energy from the elements comes out at -3.050 eV per atom. The value obtained for the final energy is -851.123 eV per cell.

=====

(6)
NaHoF4 | PBE-GGA | relaxed

Cell lengths 3.8091, 3.8091, 5.5669 Å; angles 90.00, 90.00, 90.00 degrees
With the nearest neighbours (Å) after each atom.
Space group P4/mmm (No. 123)
One atom of each set of equivalent atoms:
Na  0.0000  0.0000  0.0000 [1 per cell]  8 F 2.43
Ho  0.5000  0.5000  0.5000 [1 per cell]  8 F 2.29
F  0.0000  0.5000  0.2719 [4 per cell]  2 Ho 2.29, 2 Na 2.43, 1 F 2.54

Values from the calculation:
The formation energy from the elements comes out at -3.993 eV per atom. The value obtained for the final energy is -35.672 eV per cell.